# YTh9MgO20

Crystalline YTh9MgO20 at its relaxed geometry (PBE-GGA, the Materials Project database).

Summary:
Spin magnetization, μB/atom: 0.03
SG: No. 1
Crystal system: triclinic
Energy above the most stable polymorph in this dataset, eV per atom: 0.001
ΔE_f, eV/atom: -4.09

a b c (Å): 6.921 7.982 8.967
angles (deg): 102.61 97.87 106.85
Fractional coordinates of all 31 atoms:
Y (0.000, 0.000, 0.000)
Th (0.182, 0.421, 0.457)
Th (0.185, 0.908, 0.457)
Th (0.384, 0.313, 0.849)
Th (0.393, 0.814, 0.855)
Th (0.561, 0.213, 0.250)
Th (0.571, 0.703, 0.250)
Th (0.782, 0.111, 0.644)
Th (0.783, 0.610, 0.651)
Th (0.977, 0.508, 0.052)
Mg (0.899, 0.051, 0.277)
O (0.034, 0.237, 0.896)
O (0.037, 0.733, 0.895)
O (0.139, 0.689, 0.603)
O (0.141, 0.191, 0.606)
O (0.214, 0.135, 0.293)
O (0.224, 0.634, 0.301)
O (0.331, 0.587, 0.004)
O (0.336, 0.086, 0.995)
O (0.435, 0.540, 0.704)
O (0.436, 0.036, 0.701)
O (0.515, 0.984, 0.400)
O (0.520, 0.483, 0.400)
O (0.628, 0.437, 0.104)
O (0.635, 0.940, 0.105)
O (0.732, 0.387, 0.805)
O (0.734, 0.885, 0.794)
O (0.826, 0.345, 0.506)
O (0.828, 0.826, 0.502)
O (0.922, 0.283, 0.204)
O (0.926, 0.793, 0.200)

***

# YTh9MgO20

Crystalline YTh9MgO20 at its relaxed geometry (PBE-GGA, the Materials Project database).

Summary:
Spin magnetization, μB/atom: 0.03
SG: No. 1
Crystal system: triclinic
Energy above the most stable polymorph in this dataset, eV per atom: 0.025
ΔE_f, eV/atom: -4.06

a b c (Å): 6.900 8.023 8.927
angles (deg): 102.71 97.29 106.86
Fractional coordinates of all 31 atoms:
Y (0.000, 0.000, 0.000)
Th (0.015, 0.502, 0.995)
Th (0.198, 0.894, 0.398)
Th (0.229, 0.393, 0.404)
Th (0.405, 0.298, 0.804)
Th (0.406, 0.800, 0.795)
Th (0.574, 0.162, 0.183)
Th (0.608, 0.705, 0.197)
Th (0.810, 0.106, 0.603)
Th (0.812, 0.614, 0.621)
Mg (0.874, 0.496, 0.299)
O (0.058, 0.231, 0.850)
O (0.060, 0.725, 0.851)
O (0.160, 0.677, 0.552)
O (0.165, 0.177, 0.552)
O (0.252, 0.124, 0.249)
O (0.268, 0.622, 0.250)
O (0.348, 0.070, 0.945)
O (0.361, 0.575, 0.948)
O (0.461, 0.027, 0.650)
O (0.461, 0.526, 0.651)
O (0.550, 0.973, 0.347)
O (0.575, 0.470, 0.351)
O (0.649, 0.921, 0.046)
O (0.658, 0.422, 0.058)
O (0.758, 0.380, 0.755)
O (0.759, 0.879, 0.756)
O (0.854, 0.838, 0.459)
O (0.867, 0.331, 0.452)
O (0.950, 0.286, 0.160)
O (0.958, 0.784, 0.144)

***

# YTh9MgO20

Crystalline YTh9MgO20 at its relaxed geometry (PBE-GGA, the Materials Project database).

Summary:
Spin magnetization, μB/atom: 0.03
SG: No. 1
Crystal system: triclinic
Energy above the most stable polymorph in this dataset, eV per atom: 0.000
ΔE_f, eV/atom: -4.09

a b c (Å): 6.925 7.983 8.916
angles (deg): 102.75 97.25 106.39
Fractional coordinates of all 31 atoms:
Y (0.000, 0.000, 0.000)
Th (0.053, 0.559, 0.019)
Th (0.257, 0.960, 0.416)
Th (0.261, 0.463, 0.432)
Th (0.447, 0.859, 0.823)
Th (0.463, 0.356, 0.814)
Th (0.648, 0.746, 0.220)
Th (0.678, 0.251, 0.225)
Th (0.856, 0.654, 0.617)
Th (0.859, 0.152, 0.625)
Mg (0.293, 0.320, 0.101)
O (0.020, 0.324, 0.171)
O (0.095, 0.773, 0.867)
O (0.110, 0.274, 0.879)
O (0.206, 0.733, 0.574)
O (0.209, 0.233, 0.573)
O (0.304, 0.691, 0.277)
O (0.316, 0.186, 0.271)
O (0.404, 0.636, 0.965)
O (0.405, 0.134, 0.975)
O (0.506, 0.083, 0.670)
O (0.506, 0.579, 0.671)
O (0.613, 0.032, 0.373)
O (0.617, 0.533, 0.378)
O (0.697, 0.975, 0.069)
O (0.717, 0.477, 0.069)
O (0.793, 0.921, 0.766)
O (0.808, 0.427, 0.768)
O (0.910, 0.883, 0.472)
O (0.914, 0.379, 0.472)
O (0.997, 0.825, 0.168)

***

# MgTi3O6

Crystalline MgTi3O6 at its relaxed geometry (PBE-GGA, the Materials Project database).

Summary:
Spin magnetization, μB/atom: 0.20
SG: No. 8
Crystal system: monoclinic
ΔE_f, eV/atom: -3.12

a b c (Å): 7.851 7.851 5.477
angles (deg): 98.54 98.54 21.80
Fractional coordinates of all 10 atoms:
Mg (0.000, 0.000, 0.000)
Ti (0.104, 0.104, 0.622)
Ti (0.396, 0.396, 0.310)
Ti (0.773, 0.773, 0.751)
O (0.208, 0.208, 0.881)
O (0.328, 0.328, 0.566)
O (0.543, 0.543, 0.820)
O (0.656, 0.656, 0.481)
O (0.868, 0.868, 0.041)
O (0.991, 0.991, 0.367)

***

# MgTi4O8

Crystalline MgTi4O8 at its relaxed geometry (PBE-GGA, the Materials Project database).

Summary:
Spin magnetization, μB/atom: 0.00
SG: No. 1
Crystal system: triclinic
Energy above the most stable polymorph in this dataset, eV per atom: 0.146
ΔE_f, eV/atom: -3.19

a b c (Å): 4.975 5.152 6.393
angles (deg): 91.92 93.98 102.96
Fractional coordinates of all 13 atoms:
Mg (0.000, 0.000, 0.000)
Ti (0.320, 0.311, 0.508)
Ti (0.394, 0.843, 0.719)
Ti (0.671, 0.426, 0.040)
Ti (0.845, 0.839, 0.465)
O (0.005, 0.616, 0.013)
O (0.062, 0.112, 0.299)
O (0.103, 0.064, 0.709)
O (0.117, 0.616, 0.528)
O (0.492, 0.514, 0.799)
O (0.578, 0.070, 0.510)
O (0.584, 0.549, 0.309)
O (0.610, 0.057, 0.974)

***

# MgTi4O8

Crystalline MgTi4O8 at its relaxed geometry (PBE-GGA, the Materials Project database).

Summary:
Spin magnetization, μB/atom: 0.10
SG: No. 166
Crystal system: trigonal
Energy above the most stable polymorph in this dataset, eV per atom: 0.075
ΔE_f, eV/atom: -3.26

a b c (Å): 6.099 6.099 6.099
angles (deg): 58.19 58.19 58.19
Fractional coordinates of all 13 atoms:
Mg (0.000, 0.000, 0.000)
Ti (0.000, 0.000, 0.500)
Ti (0.000, 0.500, 0.000)
Ti (0.500, 0.000, 0.000)
Ti (0.500, 0.500, 0.500)
O (0.226, 0.747, 0.747)
O (0.232, 0.232, 0.232)
O (0.253, 0.253, 0.774)
O (0.253, 0.774, 0.253)
O (0.747, 0.226, 0.747)
O (0.747, 0.747, 0.226)
O (0.768, 0.768, 0.768)
O (0.774, 0.253, 0.253)

***

# MgTi3O6

Crystalline MgTi3O6 at its relaxed geometry (PBE-GGA, the Materials Project database).

Summary:
Spin magnetization, μB/atom: 0.20
SG: No. 5
Crystal system: monoclinic
ΔE_f, eV/atom: -3.14

a b c (Å): 5.942 5.942 5.883
angles (deg): 90.60 90.60 58.84
Fractional coordinates of all 10 atoms:
Mg (0.000, 0.000, 0.000)
Ti (0.463, 0.032, 0.679)
Ti (0.500, 0.500, 0.000)
Ti (0.968, 0.537, 0.321)
O (0.159, 0.647, 0.149)
O (0.177, 0.314, 0.547)
O (0.353, 0.841, 0.851)
O (0.635, 0.146, 0.879)
O (0.686, 0.823, 0.453)
O (0.854, 0.365, 0.121)

***

# MgTi4O8

Crystalline MgTi4O8 at its relaxed geometry (PBE-GGA, the Materials Project database).

Summary:
Spin magnetization, μB/atom: 0.10
SG: No. 8
Crystal system: monoclinic
Energy above the most stable polymorph in this dataset, eV per atom: 0.056
ΔE_f, eV/atom: -3.28

a b c (Å): 7.465 7.465 9.622
angles (deg): 129.13 129.13 22.77
Fractional coordinates of all 13 atoms:
Mg (0.000, 0.000, 0.000)
Ti (0.186, 0.186, 0.997)
Ti (0.492, 0.492, 0.634)
Ti (0.703, 0.703, 0.368)
Ti (0.975, 0.975, 0.280)
O (0.110, 0.110, 0.746)
O (0.155, 0.155, 0.440)
O (0.185, 0.185, 0.207)
O (0.474, 0.474, 0.417)
O (0.489, 0.489, 0.137)
O (0.542, 0.542, 0.895)
O (0.799, 0.799, 0.084)
O (0.870, 0.870, 0.550)